KNa2AsF6 after structural relaxation. Source: the Materials Project database, functional PBE.

Cell: 9.069 9.069 9.069 Å, 90.00 90.00 90.00°
Space group Fm-3m (No. 225)
Symmetry-distinct sites (fractional):
K1 0.000 0.000 0.000
Na1 0.250 0.250 0.250
As1 0.000 0.000 0.500
F1 0.000 0.000 0.273

volume: 18.648 Å³ per atom
uncorrected energy: -171.37 eV for the cell shown